# NdIO

A geometry-optimized NdIO structure (PBE, the Materials Project database).

Properties
- energy of formation from the pure elements (meV per atom) = -2828
- DFT total energy (eV per formula unit) = -19.04

a = 11.4221 Å, b = 11.4221 Å, c = 11.4221 Å
α = 20.56°, β = 20.56°, γ = 20.56°
Last column: nearest neighbours and their distance in Å.
Fractional positions:
Nd (0.2110, 0.2110, 0.2110)  4 O 2.38-2.43
Nd (0.7890, 0.7890, 0.7890)  4 O 2.38-2.43
I (0.3887, 0.3887, 0.3887)  3 Nd 3.25
I (0.6113, 0.6113, 0.6113)  3 Nd 3.25
O (0.1400, 0.1400, 0.1400)  4 Nd 2.38-2.43
O (0.8600, 0.8600, 0.8600)  4 Nd 2.38-2.43

=====

# Nd3Pb3I13O40

A geometry-optimized Nd3Pb3I13O40 structure (PBE, the Materials Project database).

Properties
- energy of formation from the pure elements (meV per atom) = -1350
- DFT total energy (eV per formula unit) = -295.37

a = 13.6907 Å, b = 13.6907 Å, c = 13.6907 Å
α = 109.07°, β = 109.07°, γ = 109.07°
Last column: nearest neighbours and their distance in Å.
Fractional positions:
O (0.5003, 0.5808, 0.3222)  1 I 1.82
O (0.3873, 0.0875, 0.3972)  1 I 1.84
O (0.9107, 0.1785, 0.2625)  1 I 1.86
O (0.5294, 0.8562, 0.0547)  1 I 1.85
O (0.5875, 0.8873, 0.8972)  1 I 1.84
O (0.2489, 0.8000, 0.5123)  1 I 1.83
O (0.8873, 0.8972, 0.5875)  1 I 1.84
O (0.7848, 0.8510, 0.9287)  1 I 1.84
O (0.4660, 0.6163, 0.8241)  1 I 1.84
O (0.7112, 0.7841, 0.0958)  1 I 1.84
O (0.2392, 0.9801, 0.6773)  1 I 1.83
O (0.0123, 0.3000, 0.7489)  1 I 1.83
O (0.9660, 0.3241, 0.1163)  1 I 1.84
O (0.0003, 0.8222, 0.0808)  1 I 1.82
O (0.3222, 0.5003, 0.5808)  1 I 1.82
O (0.5123, 0.2489, 0.8000)  1 I 1.83
O (0.7625, 0.6785, 0.4107)  1 I 1.86
O (0.6846, 0.4766, 0.4310)  1 I 1.86
O (0.8241, 0.4660, 0.6163)  1 I 1.84
O (0.8530, 0.3921, 0.9231)  1 I 1.83
O (0.3241, 0.1163, 0.9660)  1 I 1.84
O (0.0294, 0.5547, 0.3562)  1 I 1.85
O (0.0547, 0.5294, 0.8562)  1 I 1.85
O (0.5808, 0.3222, 0.5003)  1 I 1.82
O (0.9801, 0.6773, 0.2392)  1 I 1.83
O (0.1846, 0.9310, 0.9766)  1 I 1.86
O (0.1875, 0.6456, 0.6343)  1 I 1.84
O (0.2848, 0.4287, 0.3510)  1 I 1.84
O (0.8222, 0.0808, 0.0003)  1 I 1.82
O (0.4766, 0.4310, 0.6846)  1 I 1.86
O (0.4801, 0.7392, 0.1773)  1 I 1.83
O (0.3000, 0.7489, 0.0123)  1 I 1.83
O (0.4310, 0.6846, 0.4766)  1 I 1.86
O (0.9287, 0.7848, 0.8510)  1 I 1.84
O (0.3530, 0.4231, 0.8921)  1 I 1.83
O (0.1328, 0.4669, 0.0482)  1 I 1.82
O (0.6785, 0.4107, 0.7625)  1 I 1.86
O (0.6456, 0.6343, 0.1875)  1 I 1.84
O (0.9766, 0.1846, 0.9310)  1 I 1.86
O (0.5958, 0.2841, 0.2112)  1 I 1.84
O (0.4287, 0.3510, 0.2848)  1 I 1.84
O (0.4231, 0.8921, 0.3530)  1 I 1.83
O (0.8562, 0.0547, 0.5294)  1 I 1.85
O (0.9669, 0.6328, 0.5482)  1 I 1.82
O (0.4107, 0.7625, 0.6785)  1 I 1.86
O (0.0958, 0.7112, 0.7841)  1 I 1.84
O (0.0875, 0.3972, 0.3873)  1 I 1.84
O (0.6875, 0.1343, 0.1456)  1 I 1.84
O (0.8972, 0.5875, 0.8873)  1 I 1.84
O (0.2841, 0.2112, 0.5958)  1 I 1.84
O (0.4669, 0.0482, 0.1328)  1 I 1.82
O (0.6343, 0.1875, 0.6456)  1 I 1.84
O (0.7841, 0.0958, 0.7112)  1 I 1.84
O (0.0482, 0.1328, 0.4669)  1 I 1.82
O (0.8000, 0.5123, 0.2489)  1 I 1.83
O (0.5482, 0.9669, 0.6328)  1 I 1.82
O (0.3510, 0.2848, 0.4287)  1 I 1.84
O (0.9231, 0.8530, 0.3921)  1 I 1.83
O (0.6773, 0.2392, 0.9801)  1 I 1.83
O (0.8510, 0.9287, 0.7848)  1 I 1.84
O (0.3921, 0.9231, 0.8530)  1 I 1.83
O (0.1488, 0.1488, 0.1488)  3 Pb 2.33
O (0.0808, 0.0003, 0.8222)  1 I 1.82
O (0.6328, 0.5482, 0.9669)  1 I 1.82
O (0.1163, 0.9660, 0.3241)  1 I 1.84
O (0.7392, 0.1773, 0.4801)  1 I 1.83
O (0.7489, 0.0123, 0.3000)  1 I 1.83
O (0.1785, 0.2625, 0.9107)  1 I 1.86
O (0.2112, 0.5958, 0.2841)  1 I 1.84
O (0.8921, 0.3530, 0.4231)  1 I 1.83
O (0.6488, 0.6488, 0.6488)  3 Pb 2.33
O (0.6163, 0.8241, 0.4660)  1 I 1.84
O (0.3972, 0.3873, 0.0875)  1 I 1.84
O (0.1456, 0.6875, 0.1343)  1 I 1.84
O (0.3562, 0.0294, 0.5547)  1 I 1.85
O (0.2625, 0.9107, 0.1785)  1 I 1.86
O (0.9310, 0.9766, 0.1846)  1 I 1.86
O (0.1773, 0.4801, 0.7392)  1 I 1.83
O (0.5547, 0.3562, 0.0294)  1 I 1.85
O (0.1343, 0.1456, 0.6875)  1 I 1.84
Pb (0.1849, 0.3109, 0.1169)  2 O 2.33-2.60
Pb (0.6849, 0.6169, 0.8109)  2 O 2.33-2.60
Pb (0.8109, 0.6849, 0.6169)  2 O 2.33-2.60
Pb (0.6169, 0.8109, 0.6849)  2 O 2.33-2.60
Pb (0.3109, 0.1169, 0.1849)  2 O 2.33-2.60
Pb (0.1169, 0.1849, 0.3109)  2 O 2.33-2.60
I (0.4490, 0.8466, 0.1399)  3 O 1.83-1.85
I (0.4197, 0.4197, 0.4197)  3 O 1.84
I (0.9197, 0.9197, 0.9197)  3 O 1.84
I (0.5499, 0.1417, 0.0880)  3 O 1.82-1.84
I (0.9490, 0.6399, 0.3466)  3 O 1.83-1.85
I (0.4259, 0.8011, 0.8279)  3 O 1.83-1.86
I (0.9650, 0.8603, 0.2006)  3 O 1.82-1.86
I (0.1417, 0.0880, 0.5499)  3 O 1.82-1.84
I (0.8466, 0.1399, 0.4490)  3 O 1.83-1.85
I (0.3011, 0.9259, 0.3279)  3 O 1.83-1.86
I (0.8011, 0.8279, 0.4259)  3 O 1.83-1.86
I (0.0880, 0.5499, 0.1417)  3 O 1.82-1.84
I (0.0499, 0.5880, 0.6417)  3 O 1.82-1.84
I (0.3279, 0.3011, 0.9259)  3 O 1.83-1.86
I (0.9259, 0.3279, 0.3011)  3 O 1.83-1.86
I (0.3466, 0.9490, 0.6399)  3 O 1.83-1.85
I (0.7006, 0.3603, 0.4650)  3 O 1.82-1.86
I (0.4650, 0.7006, 0.3603)  3 O 1.82-1.86
I (0.6417, 0.0499, 0.5880)  3 O 1.82-1.84
I (0.8279, 0.4259, 0.8011)  3 O 1.83-1.86
I (0.1399, 0.4490, 0.8466)  3 O 1.83-1.85
I (0.6399, 0.3466, 0.9490)  3 O 1.83-1.85
I (0.5880, 0.6417, 0.0499)  3 O 1.82-1.84
I (0.3603, 0.4650, 0.7006)  3 O 1.82-1.86
I (0.8603, 0.2006, 0.9650)  3 O 1.82-1.86
I (0.2006, 0.9650, 0.8603)  3 O 1.82-1.86
Nd (0.7402, 0.9757, 0.1023)  8 O 2.45-2.56
Nd (0.6023, 0.4757, 0.2402)  8 O 2.45-2.56
Nd (0.9757, 0.1023, 0.7402)  8 O 2.45-2.56
Nd (0.2402, 0.6023, 0.4757)  8 O 2.45-2.56
Nd (0.1023, 0.7402, 0.9757)  8 O 2.45-2.56
Nd (0.4757, 0.2402, 0.6023)  8 O 2.45-2.56